DFT (PBE-GGA) results for crystalline ZnCdSeS at its relaxed geometry.

The structure in POSCAR format:
```
ZnCdSeS
1.0
4.108 0.000 0.000
-2.054 3.557 0.000
0.000 0.000 6.828
Zn Cd Se S
1 1 1 1
direct
0.000 0.000 0.000 Zn
0.667 0.333 0.527 Cd
0.000 0.000 0.364 Se
0.667 0.333 0.902 S
```

The energy with MP2020 corrections is -3.212 eV per atom. As for the formation enthalpy at 0 K: -0.758 eV per atom. As for the space group: No. 156. The magnetic moment comes out at 0.000 μB per formula unit. As for the final energy: -3.086 eV/atom.

---

DFT (PBE-GGA) results for crystalline LaMg2Ti3S8 at its relaxed geometry.

The structure in POSCAR format:
```
LaMg2Ti3S8
1.0
6.319 -3.656 0.000
6.319 3.656 0.000
-4.214 0.000 6.508
La Mg Ti S
1 2 3 8
direct
0.000 0.000 0.000 La
0.372 0.372 0.116 Mg
0.628 0.628 0.884 Mg
0.000 0.000 0.500 Ti
0.000 0.500 0.500 Ti
0.500 0.000 0.500 Ti
0.228 0.740 0.707 S
0.242 0.242 0.725 S
0.260 0.772 0.293 S
0.261 0.261 0.294 S
0.739 0.739 0.706 S
0.740 0.228 0.707 S
0.758 0.758 0.275 S
0.772 0.260 0.293 S
```

The energy with MP2020 corrections is -6.343 eV per atom. As for the formation enthalpy at 0 K: -1.706 eV per atom. As for the space group: No. 12. The magnetic moment comes out at 0.027 μB per formula unit. As for the final energy: -6.055 eV/atom.

---

DFT (PBE-GGA) results for crystalline MgZn2 at its relaxed geometry.

The structure in POSCAR format:
```
MgZn2
1.0
4.555 -2.417 0.000
4.555 2.417 0.000
0.000 0.000 4.672
Mg Zn
2 4
direct
0.200 0.800 0.750 Mg
0.800 0.200 0.250 Mg
0.147 0.486 0.250 Zn
0.486 0.147 0.750 Zn
0.514 0.853 0.250 Zn
0.853 0.514 0.750 Zn
```

As for the formation enthalpy at 0 K: -0.060 eV per atom. As for the space group: No. 63. The magnetic moment comes out at 0.001 μB per formula unit. As for the final energy: -1.434 eV/atom.

---

DFT (PBE-GGA) results for crystalline CuPO4 at its relaxed geometry.

The structure in POSCAR format:
```
CuPO4
1.0
7.111 4.106 3.039
-7.111 4.106 3.039
0.000 -8.211 3.039
Cu P O
6 6 24
direct
0.008 0.204 0.788 Cu
0.204 0.788 0.008 Cu
0.297 0.713 0.482 Cu
0.482 0.297 0.713 Cu
0.713 0.482 0.297 Cu
0.788 0.008 0.204 Cu
0.147 0.957 0.360 P
0.360 0.147 0.957 P
0.449 0.670 0.850 P
0.670 0.850 0.449 P
0.850 0.449 0.670 P
0.957 0.360 0.147 P
0.155 0.835 0.456 O
0.159 0.508 0.243 O
0.242 0.243 0.933 O
0.243 0.159 0.508 O
0.243 0.933 0.242 O
0.246 0.945 0.900 O
0.322 0.649 0.941 O
0.332 0.622 0.652 O
0.456 0.155 0.835 O
0.508 0.243 0.159 O
0.527 0.538 0.859 O
0.538 0.859 0.527 O
0.607 0.867 0.952 O
0.622 0.652 0.332 O
0.649 0.941 0.322 O
0.652 0.332 0.622 O
0.835 0.456 0.155 O
0.859 0.527 0.538 O
0.867 0.952 0.607 O
0.900 0.246 0.945 O
0.933 0.242 0.243 O
0.941 0.322 0.649 O
0.945 0.900 0.246 O
0.952 0.607 0.867 O
```

The energy with MP2020 corrections is -6.672 eV per atom. As for the formation enthalpy at 0 K: -1.788 eV per atom. As for the space group: No. 146. The magnetic moment comes out at 2.001 μB per formula unit. As for the final energy: -6.214 eV/atom.

---

DFT (PBE-GGA) results for crystalline SmCoC2 at its relaxed geometry.

The structure in POSCAR format:
```
SmCoC2
1.0
3.708 0.000 0.000
0.000 2.263 3.023
0.000 -2.263 3.023
Sm Co C
1 1 2
direct
0.000 0.000 0.000 Sm
0.500 0.613 0.613 Co
0.500 0.152 0.457 C
0.500 0.457 0.152 C
```

As for the formation enthalpy at 0 K: -0.288 eV per atom. As for the space group: No. 38. As for the final energy: -7.859 eV/atom.

---

DFT (PBE-GGA) results for crystalline CdTe at its relaxed geometry.

The structure in POSCAR format:
```
CdTe
1.0
0.000 3.067 3.067
3.067 0.000 3.067
3.067 3.067 0.000
Cd Te
1 1
direct
0.000 0.000 0.000 Cd
0.500 0.500 0.500 Te
```

The energy with MP2020 corrections is -2.529 eV per atom. As for the formation enthalpy at 0 K: -0.496 eV per atom. As for the space group: No. 225. The magnetic moment comes out at 0.000 μB per formula unit. As for the final energy: -2.318 eV/atom.

---

DFT (PBE-GGA) results for crystalline Mg2Ti3O8 at its relaxed geometry.

The structure in POSCAR format:
```
Mg2Ti3O8
1.0
5.955 0.000 0.000
-2.978 5.157 0.000
0.000 0.000 9.508
Mg Ti O
4 6 16
direct
0.333 0.667 0.000 Mg
0.333 0.667 0.395 Mg
0.667 0.333 0.500 Mg
0.667 0.333 0.895 Mg
0.163 0.326 0.721 Ti
0.163 0.837 0.721 Ti
0.326 0.163 0.221 Ti
0.674 0.837 0.721 Ti
0.837 0.163 0.221 Ti
0.837 0.674 0.221 Ti
0.000 0.000 0.328 O
0.000 0.000 0.828 O
0.038 0.519 0.843 O
0.164 0.328 0.124 O
0.164 0.836 0.124 O
0.328 0.164 0.624 O
0.333 0.667 0.609 O
0.481 0.519 0.843 O
0.481 0.962 0.843 O
0.519 0.038 0.343 O
0.519 0.481 0.343 O
0.667 0.333 0.109 O
0.672 0.836 0.124 O
0.836 0.164 0.624 O
0.836 0.672 0.624 O
0.962 0.481 0.343 O
```

The energy with MP2020 corrections is -8.473 eV per atom. As for the formation enthalpy at 0 K: -3.360 eV per atom. As for the space group: No. 186. The value obtained for the maximum piezoelectric response is 1.601 C/m². The magnetic moment comes out at 0.000 μB per formula unit. As for the final energy: -8.050 eV/atom. Its distance to the lowest polymorph of the same formula is 0 meV/atom.

---

DFT (PBE-GGA) results for crystalline MgCuPO4 at its relaxed geometry.

The structure in POSCAR format:
```
MgCuPO4
1.0
-2.517 2.517 3.564
2.517 -2.517 3.564
2.517 2.517 -3.564
Mg Cu P O
1 1 1 4
direct
0.000 0.000 0.000 Mg
0.500 0.500 0.000 Cu
0.750 0.250 0.500 P
0.039 0.566 0.861 O
0.434 0.295 0.473 O
0.705 0.179 0.139 O
0.821 0.961 0.527 O
```

The energy with MP2020 corrections is -6.793 eV per atom. As for the formation enthalpy at 0 K: -2.378 eV per atom. As for the space group: No. 82. The magnetic moment comes out at 0.000 μB per formula unit. As for the final energy: -6.401 eV/atom. Its distance to the lowest polymorph of the same formula is 0 meV/atom.